(1)
Crystalline CsNb6S8 at its relaxed geometry. Source: Materials Project, functional GGA-PBE.

Properties
Final energy ... -7.427 eV per atom
Total energy after the MP2020 corrections ... -7.695 eV/atom
ΔE_f ... -1.39 eV/atom

Cell lengths 9.8473, 9.8473, 3.4112 Å; angles 90.00, 90.00, 120.00 degrees
Space group P-3 (No. 147)
Asymmetric unit:
Cs  0.0000  0.0000  0.0000 (multiplicity 1)
Nb  0.1105  0.6246  0.2487 (multiplicity 6)
S  0.0604  0.3523  0.2536 (multiplicity 6)
S  0.3333  0.6667  0.7490 (multiplicity 2)

(2)
Crystalline CsNb6Te8 at its relaxed geometry. Source: Materials Project, functional GGA-PBE.

Properties
Magnetization ... 0.0 μB/cell
Final energy ... -6.272 eV per atom
Total energy after the MP2020 corrections ... -6.497 eV/atom
ΔE_f ... -0.72 eV/atom

Cell lengths 10.9983, 10.9983, 3.7055 Å; angles 90.00, 90.00, 120.00 degrees
Space group P-3 (No. 147)
Asymmetric unit:
Cs  0.0000  0.0000  0.0000 (multiplicity 1)
Nb  0.1006  0.6121  0.7521 (multiplicity 6)
Te  0.0655  0.3442  0.7451 (multiplicity 6)
Te  0.3333  0.6667  0.2507 (multiplicity 2)

(3)
Crystalline CsNd at its relaxed geometry. Source: Materials Project, functional GGA-PBE.

Properties
Magnetization ... 0.0 μB/cell
Final energy ... -2.192 eV per atom
ΔE_f ... 0.64 eV/atom

Cell lengths 3.9085, 3.9085, 23.1197 Å; angles 90.00, 90.00, 120.00 degrees
Space group R-3m (No. 166, hexagonal axes)
Asymmetric unit:
Cs  0.0000  0.0000  0.0000 (multiplicity 3)
Nd  0.0000  0.0000  0.5000 (multiplicity 3)

(4)
Crystalline CsNd3 at its relaxed geometry. Source: Materials Project, functional GGA-PBE.

Properties
Magnetization ... 0.0 μB/cell
Final energy ... -3.240 eV per atom
ΔE_f ... 0.56 eV/atom

Cell lengths 5.4448, 5.4448, 10.8112 Å; angles 90.00, 90.00, 90.00 degrees
Space group I4/mmm (No. 139)
Asymmetric unit:
Cs  0.0000  0.0000  0.0000 (multiplicity 2)
Nd  0.0000  0.0000  0.5000 (multiplicity 2)
Nd  0.0000  0.5000  0.2500 (multiplicity 4)

(5)
Crystalline CsNdO3 at its relaxed geometry. Source: Materials Project, functional GGA-PBE.

Properties
Magnetization ... 2.0 μB/cell
Final energy ... -5.839 eV per atom
Total energy after the MP2020 corrections ... -6.251 eV/atom
ΔE_f ... -2.15 eV/atom

Cell lengths 4.7176, 4.7176, 4.7176 Å; angles 90.00, 90.00, 90.00 degrees
Space group Pm-3m (No. 221)
Asymmetric unit:
Cs  0.0000  0.0000  0.0000 (multiplicity 1)
Nd  0.5000  0.5000  0.5000 (multiplicity 1)
O  0.0000  0.5000  0.5000 (multiplicity 3)

(6)
Crystalline CsNdO2 at its relaxed geometry. Source: Materials Project, functional GGA-PBE.

Properties
Final energy ... -6.396 eV per atom
Total energy after the MP2020 corrections ... -6.740 eV/atom
ΔE_f ... -2.85 eV/atom

Cell lengths 3.7059, 3.7059, 13.8765 Å; angles 90.00, 90.00, 120.00 degrees
Space group P6_3/mmc (No. 194)
Asymmetric unit:
Cs  0.3333  0.6667  0.2500 (multiplicity 2)
Nd  0.0000  0.0000  0.0000 (multiplicity 2)
O  0.3333  0.6667  0.5851 (multiplicity 4)

Q: Which of these has the lowest ΔE_f?
A: CsNdO2